(1)
The following is a meta-GGA r2SCAN calculation of crystalline TiTc2W at its relaxed geometry, from Materials Project.

Values from the calculation:
ΔH_f (0 K) = -0.446 eV per atom
SG = Fm-3m, No. 225
VASP energy = -1.084 Ha/atom

Unit cell a=4.3903 b=4.3903 c=4.3903 alpha=60.00 beta=60.00 gamma=60.00
Closest atoms and distances in Å follow each position.
Element x y z (fractional)
Ti 0.5000 0.5000 0.5000  8 Tc 2.69
Tc 0.2500 0.2500 0.2500  4 Ti 2.69, 4 W 2.69
Tc 0.7500 0.7500 0.7500  4 Ti 2.69, 4 W 2.69
W 0.0000 0.0000 0.0000  8 Tc 2.69

(2)
The following is a meta-GGA r2SCAN calculation of crystalline K2RuCl6 at its relaxed geometry, from Materials Project.

Values from the calculation:
ΔH_f (0 K) = -1.384 eV per atom
SG = Fm-3m, No. 225
VASP energy = -0.355 Ha/atom

Unit cell a=6.8901 b=6.8901 c=6.8901 alpha=60.00 beta=60.00 gamma=60.00
Closest atoms and distances in Å follow each position.
Element x y z (fractional)
K 0.7500 0.7500 0.7500  12 Cl 3.45
K 0.2500 0.2500 0.2500  12 Cl 3.45
Ru 0.0000 0.0000 0.0000  6 Cl 2.33
Cl 0.2394 0.7606 0.7606  1 Ru 2.33
Cl 0.2394 0.7606 0.2394  1 Ru 2.33
Cl 0.7606 0.2394 0.7606  1 Ru 2.33
Cl 0.7606 0.2394 0.2394  1 Ru 2.33
Cl 0.7606 0.7606 0.2394  1 Ru 2.33
Cl 0.2394 0.2394 0.7606  1 Ru 2.33